A geometry-optimized Cr4S3N2 structure. Source: the Materials Project, functional GGA-PBE.

extended XYZ file:
```
9
Lattice="5.8280 -0.0952 -0.2046 0.8934 3.0070 0.0000 5.3063 -1.5765 6.4066" Properties=species:S:1:pos:R:3 pbc="T T T"
N 5.4419 1.6557 2.2595
S 2.5906 0.8666 1.4136
S 0.0000 0.0000 0.0000
N 6.5857 -0.3203 3.9425
Cr 7.6262 -0.6295 5.5790
Cr 4.4014 1.9648 0.6230
Cr 5.9876 -0.1426 2.1356
S 9.4370 0.4688 4.7884
Cr 6.0400 1.4780 4.0664
```

Results
space-group type: C2/m, No. 12
energy of formation: -619 meV per atom
E: -7.893 eV per atom

---

A geometry-optimized Cr4Se3N2 structure. Source: the Materials Project, functional GGA-PBE.

extended XYZ file:
```
18
Lattice="-6.0769 2.0437 1.0753 -4.6432 -11.0533 -5.2321 0.0472 -1.4555 3.0330" Properties=species:S:1:pos:R:3 pbc="T T T"
N -4.0854 -0.3369 1.7680
Se -6.4107 -2.1156 0.9506
N -6.5875 -10.1282 -2.8917
Se -5.3364 -5.2326 -0.5619
Se -3.1028 -1.7122 -0.7734
Se -7.6173 -7.2974 -3.3834
Cr -7.8103 -6.1944 -0.9849
Cr -5.7965 -8.8717 -4.1672
Cr -2.1846 -0.7902 1.5209
Se 0.0000 0.0000 0.0000
N -8.0575 -4.5887 -2.0766
Se -4.2622 -8.3495 -2.0743
Cr -3.7446 -5.8532 -2.7506
Cr -2.8626 -4.2708 -0.1388
Cr -4.9236 -0.1379 0.0104
Cr -8.4883 -9.6749 -2.6446
Cr -6.9755 -3.1564 -1.4062
N -2.6626 -4.4210 -2.0801
```

Results
space-group type: Pnnm, No. 58
energy of formation: -343 meV per atom
energy relative to the lowest polymorph listed for this composition: 1.57 kcal/mol of atoms
E: -7.571 eV per atom

---

A geometry-optimized Cr2SeN2 structure. Source: the Materials Project, functional GGA-PBE.

extended XYZ file:
```
5
Lattice="-1.3149 2.9603 -0.5485 -1.9228 -2.5029 0.8668 0.8228 1.5176 6.2071" Properties=species:S:1:pos:R:3 pbc="T T T"
N -1.1938 0.2606 4.2841
Cr -0.9463 2.1702 4.1672
Se 0.0000 0.0000 0.0000
N -1.2211 1.7143 2.2414
Cr -1.4686 -0.1952 2.3582
```

Results
space-group type: C2/m, No. 12
energy of formation: -357 meV per atom
E: -8.108 eV per atom

---

A geometry-optimized Cr4Se3N2 structure. Source: the Materials Project, functional GGA-PBE.

extended XYZ file:
```
36
Lattice="-5.1219 -2.6012 -1.9827 4.6185 -9.3125 0.2868 -2.7996 -1.1204 8.7020" Properties=species:S:1:pos:R:3 pbc="T T T"
N -1.7337 -2.3082 -0.8077
N -2.7462 -8.3529 7.7408
Se -5.0078 -7.3038 5.4840
Se 0.3867 -10.5439 1.9288
Se 0.5010 -8.2312 7.4409
Se -2.0302 -5.8364 5.1804
Cr -3.2225 -7.6040 3.5656
Cr -4.0396 -4.8454 1.9801
Cr -2.2788 -9.7903 1.5828
Se -1.8344 -3.7390 2.3945
Cr -2.1433 -1.2707 3.3124
Se -3.6897 -2.4903 5.0773
Se -1.2728 -7.1977 1.8258
Se 3.3643 -9.0765 1.6252
Cr -4.2398 -4.8065 6.4670
Cr -0.6360 -3.2075 0.3523
Se -6.6673 -3.9576 5.3809
N -1.5693 -10.7259 7.8139
Cr 0.7366 -8.1887 5.0260
Cr -1.6483 -6.3333 -0.6378
Se -3.8041 -4.8029 -0.4348
N 2.3643 -8.8760 4.5385
Cr -1.6547 -6.7009 7.6439
Se 1.7048 -5.7303 1.5222
N -0.5568 -4.6812 -0.7346
Cr -1.0242 -3.2438 5.4234
N -5.6673 -4.1581 2.4676
Cr -1.1597 -11.7634 3.6937
N 1.1874 -6.5030 4.4654
N -4.4905 -6.5312 2.5407
Cr -2.6670 -9.8266 6.6538
Cr -0.0805 -5.4301 3.4405
Se -1.4686 -9.2952 4.6116
Cr 0.9368 -8.2277 0.5391
Cr 0.4081 -10.8603 7.7720
Cr -3.7111 -2.1739 -0.7659
```

Results
space-group type: Pnma, No. 62
energy of formation: -411 meV per atom
energy relative to the lowest polymorph listed for this composition: 0.00 kcal/mol of atoms
E: -7.639 eV per atom

---

A geometry-optimized CrSi7N10 structure. Source: the Materials Project, functional GGA-PBE.

extended XYZ file:
```
36
Lattice="-5.8599 -2.3311 -2.3665 -0.2873 -4.5463 5.1895 -2.5625 7.1149 6.0912" Properties=species:S:1:pos:R:3 pbc="T T T"
Si -2.8517 0.3226 3.5832
Si -4.7127 2.0861 4.9649
Si -4.2039 2.7562 7.9116
Si -3.7047 -1.5556 7.4409
Cr -5.8530 -1.4314 -0.8518
N -6.3384 2.3243 5.5463
N -3.0206 3.8847 8.5022
N -6.6982 0.1201 7.5384
N -5.1030 -1.9587 3.3289
N -1.6974 0.9924 4.6974
Cr -7.3761 -1.7016 6.5630
Si -5.8802 -1.4903 1.8534
N -6.9785 -0.3999 4.9688
Si -6.5128 3.8481 6.3704
N -5.8755 5.0221 5.2968
Si -5.3087 -0.9308 4.7191
N -1.0558 -0.7846 0.7132
N -5.2162 -0.2609 0.8669
N -2.5331 -0.3296 7.3002
Si -4.0372 0.9675 0.8050
N -5.6277 -2.8576 0.6679
Si -3.5062 -2.6547 3.2702
Si -2.1474 -0.7443 -0.5914
Si -0.9917 -1.5559 2.2456
N -2.9444 1.2907 2.1733
N -3.1221 -3.4335 1.7648
N -4.4063 3.2037 3.6855
N -3.3421 -3.7889 4.5611
Si -5.5944 0.1577 8.8357
Si -7.2309 0.9691 6.1524
N -2.4144 -1.3097 3.2396
N -4.8051 -1.8720 6.0599
N -3.7003 2.1750 6.3682
N -4.4375 1.4949 9.0466
Si -2.3312 1.0806 6.3423
N -4.3813 0.4718 4.4134
```

Results
space-group type: Pc, No. 7
energy of formation: -1048 meV per atom
E: -8.125 eV per atom

---

A geometry-optimized Cr5Si2N6 structure. Source: the Materials Project, functional GGA-PBE.

extended XYZ file:
```
26
Lattice="4.7948 -0.0216 0.1132 -2.6527 4.3113 0.0000 -1.6447 -1.0120 13.9450" Properties=species:S:1:pos:R:3 pbc="T T T"
Si -0.7213 0.9998 12.7496
Cr 0.5770 3.4448 3.6804
N 0.8375 0.4685 7.1285
N -1.6780 2.7582 9.3935
Cr -0.5110 1.2946 8.2896
Cr 1.4024 -0.4998 12.7412
N 0.6220 1.2016 11.6373
N 3.1210 -0.0299 9.2783
N -1.1208 2.2354 13.9022
Si 1.2187 2.2780 1.3086
Cr 0.6374 0.5103 3.4053
Cr -1.7870 1.9832 3.4863
Cr -0.0796 -0.1671 10.3779
N 2.2025 3.3053 2.3058
N -0.3401 2.8092 6.9297
N -1.7052 -0.0276 11.7525
N 2.1754 0.5196 4.6648
Cr -0.9050 3.7776 1.3171
N -0.1247 2.0762 2.4209
N 1.6181 1.0424 0.1560
Cr 1.0084 1.9831 5.7686
Si 1.7604 -0.4450 8.2812
Cr -2.5103 1.3162 10.4588
Cr -0.1400 2.7675 10.6529
N -2.6236 3.3076 4.7799
Si -1.2630 3.7228 5.7771
```

Results
space-group type: C2/c, No. 15
energy of formation: -484 meV per atom
E: -8.713 eV per atom

---

What is the E in the first record? -7.893 eV per atom